Entry 1:
Ni4P2O9 after structural relaxation, computed with PBE+U. Values from VASP.

Quantum ESPRESSO input file:
```
&SYSTEM
  ibrav = 0, nat = 60, ntyp = 3
/
ATOMIC_SPECIES
O 16.00 O.upf
Ni 58.69 Ni.upf
P 30.97 P.upf
CELL_PARAMETERS angstrom
-9.673 -1.529 5.231
-1.469 -4.801 -4.120
3.297 -7.725 3.840
ATOMIC_POSITIONS crystal
O 0.510 0.243 0.902
Ni 0.121 0.230 0.748
O 0.282 0.862 0.054
P 0.671 0.705 0.424
O 0.440 0.745 0.766
O 0.396 0.496 0.585
O 0.197 0.331 0.525
O 0.803 0.669 0.475
O 0.560 0.255 0.234
Ni 0.899 0.179 0.961
O 0.115 0.893 0.798
P 0.868 0.245 0.314
Ni 0.879 0.770 0.252
O 0.825 0.471 0.233
Ni 0.101 0.821 0.039
O 0.595 0.836 0.511
O 0.190 0.165 0.246
O 0.310 0.165 0.746
O 0.697 0.669 0.975
O 0.175 0.529 0.767
O 0.010 0.757 0.598
P 0.132 0.755 0.686
O 0.615 0.107 0.702
O 0.990 0.243 0.402
Ni 0.379 0.230 0.248
O 0.405 0.164 0.489
O 0.060 0.745 0.266
O 0.325 0.529 0.267
P 0.171 0.295 0.076
O 0.604 0.504 0.415
O 0.718 0.138 0.946
P 0.829 0.705 0.924
O 0.940 0.255 0.734
O 0.905 0.836 0.011
O 0.303 0.331 0.025
Ni 0.405 0.937 0.885
O 0.896 0.504 0.915
P 0.329 0.295 0.576
O 0.690 0.835 0.254
Ni 0.399 0.821 0.539
Ni 0.621 0.770 0.752
O 0.782 0.138 0.446
Ni 0.133 0.454 0.318
Ni 0.601 0.179 0.461
Ni 0.633 0.546 0.182
Ni 0.367 0.454 0.818
Ni 0.095 0.937 0.385
O 0.104 0.496 0.085
Ni 0.867 0.546 0.682
O 0.490 0.757 0.098
O 0.218 0.862 0.554
Ni 0.595 0.063 0.115
Ni 0.905 0.063 0.615
O 0.810 0.835 0.754
O 0.885 0.107 0.202
O 0.385 0.893 0.298
O 0.095 0.164 0.989
P 0.632 0.245 0.814
P 0.368 0.755 0.186
O 0.675 0.471 0.733
```

Summary:
ΔH_f (0 K) in eV per atom: -1.96
Offset from the most stable computed form in meV per atom: 0
Total moment in μB/cell: 32.00

Entry 2:
Ni3P2O8 after structural relaxation, computed with PBE+U. Values from VASP.

Quantum ESPRESSO input file:
```
&SYSTEM
  ibrav = 0, nat = 26, ntyp = 3
/
ATOMIC_SPECIES
O 16.00 O.upf
Ni 58.69 Ni.upf
P 30.97 P.upf
CELL_PARAMETERS angstrom
4.746 0.000 0.000
0.000 5.889 0.000
0.000 0.162 10.227
ATOMIC_POSITIONS crystal
O 0.755 0.732 0.602
O 0.801 0.052 0.326
Ni 0.000 0.500 0.000
O 0.692 0.256 0.047
O 0.265 0.534 0.162
O 0.745 0.732 0.102
Ni 0.513 0.758 0.774
O 0.765 0.466 0.338
O 0.199 0.948 0.674
P 0.922 0.252 0.405
Ni 0.987 0.758 0.274
P 0.078 0.748 0.595
P 0.422 0.748 0.095
O 0.192 0.744 0.453
O 0.245 0.268 0.398
Ni 0.487 0.242 0.226
O 0.699 0.052 0.826
O 0.301 0.948 0.174
O 0.308 0.744 0.953
Ni 0.500 0.500 0.500
O 0.235 0.534 0.662
O 0.255 0.268 0.898
O 0.808 0.256 0.547
P 0.578 0.252 0.905
Ni 0.013 0.242 0.726
O 0.735 0.466 0.838
```

Summary:
ΔH_f (0 K) in eV per atom: -2.11
Offset from the most stable computed form in meV per atom: 0

Entry 3:
Ni7P6O24 after structural relaxation, computed with PBE+U. Values from VASP.

Quantum ESPRESSO input file:
```
&SYSTEM
  ibrav = 0, nat = 37, ntyp = 3
/
ATOMIC_SPECIES
O 16.00 O.upf
P 30.97 P.upf
Ni 58.69 Ni.upf
CELL_PARAMETERS angstrom
8.678 -0.029 -1.456
3.034 8.131 1.456
0.031 -0.045 6.571
ATOMIC_POSITIONS crystal
O 0.911 0.885 0.795
O 0.394 0.031 0.137
O 0.969 0.606 0.137
O 0.763 0.418 0.073
O 0.096 0.108 0.209
P 0.917 0.718 0.297
O 0.282 0.250 0.725
P 0.282 0.083 0.297
O 0.582 0.237 0.073
P 0.329 0.671 0.071
O 0.552 0.448 0.750
Ni 0.675 0.666 0.003
Ni 0.007 0.356 0.192
Ni 0.644 0.993 0.192
O 0.750 0.718 0.725
O 0.029 0.653 0.514
O 0.428 0.753 0.937
O 0.200 0.800 0.140
O 0.261 0.271 0.281
O 0.658 0.018 0.491
Ni 0.363 0.997 0.814
O 0.454 0.546 0.263
O 0.806 0.194 0.864
O 0.729 0.739 0.281
P 0.726 0.907 0.708
O 0.614 0.956 0.869
O 0.044 0.386 0.869
P 0.679 0.321 0.939
O 0.347 0.971 0.514
O 0.115 0.089 0.795
O 0.892 0.904 0.209
Ni 0.003 0.637 0.814
O 0.247 0.572 0.937
Ni 0.003 0.997 0.001
P 0.093 0.274 0.708
O 0.982 0.342 0.491
Ni 0.334 0.325 0.003
```

Summary:
ΔH_f (0 K) in eV per atom: -1.92
Offset from the most stable computed form in meV per atom: 90
Total moment in μB/cell: 13.97

Entry 4:
NiP3O9 after structural relaxation, computed with PBE+U. Values from VASP.

Quantum ESPRESSO input file:
```
&SYSTEM
  ibrav = 0, nat = 52, ntyp = 3
/
ATOMIC_SPECIES
P 30.97 P.upf
O 16.00 O.upf
Ni 58.69 Ni.upf
CELL_PARAMETERS angstrom
-3.039 3.214 -4.600
-7.491 -6.088 0.695
-4.448 6.311 7.348
ATOMIC_POSITIONS crystal
P 0.365 0.285 0.633
O 0.149 0.987 0.155
O 0.594 0.811 0.811
O 0.750 0.289 0.250
O 0.250 0.711 0.750
O 0.237 0.918 0.596
O 0.851 0.013 0.845
Ni 0.500 0.000 0.500
P 0.250 0.081 0.250
P 0.250 0.581 0.250
P 0.635 0.715 0.367
O 0.594 0.311 0.689
O 0.737 0.082 0.096
P 0.365 0.785 0.867
O 0.116 0.682 0.527
O 0.406 0.689 0.311
O 0.763 0.582 0.096
O 0.149 0.487 0.345
O 0.851 0.513 0.655
O 0.250 0.211 0.750
O 0.094 0.689 0.189
P 0.135 0.785 0.633
O 0.906 0.311 0.811
O 0.649 0.013 0.655
P 0.750 0.919 0.750
O 0.884 0.818 0.027
O 0.750 0.789 0.250
O 0.384 0.182 0.527
O 0.763 0.082 0.404
O 0.094 0.189 0.311
P 0.865 0.715 0.133
P 0.750 0.419 0.750
O 0.237 0.418 0.904
P 0.865 0.215 0.367
O 0.616 0.818 0.473
Ni 0.000 0.000 0.000
P 0.635 0.215 0.133
O 0.884 0.318 0.473
P 0.135 0.285 0.867
O 0.351 0.487 0.155
O 0.351 0.987 0.345
O 0.384 0.682 0.973
O 0.906 0.811 0.689
Ni 0.500 0.500 0.000
O 0.649 0.513 0.845
O 0.263 0.918 0.904
O 0.737 0.582 0.404
Ni 0.000 0.500 0.500
O 0.406 0.189 0.189
O 0.616 0.318 0.027
O 0.263 0.418 0.596
O 0.116 0.182 0.973
```

Summary:
ΔH_f (0 K) in eV per atom: -2.27
Offset from the most stable computed form in meV per atom: 0
Total moment in μB/cell: 4.00

Entry 5:
Ni2P2O7 after structural relaxation, computed with PBE+U. Values from VASP.

Quantum ESPRESSO input file:
```
&SYSTEM
  ibrav = 0, nat = 22, ntyp = 3
/
ATOMIC_SPECIES
O 16.00 O.upf
Ni 58.69 Ni.upf
P 30.97 P.upf
CELL_PARAMETERS angstrom
-0.971 5.039 -1.261
0.032 -0.028 5.284
8.937 0.072 -1.312
ATOMIC_POSITIONS crystal
O 0.618 0.926 0.639
Ni 0.314 0.686 0.750
P 0.780 0.780 0.046
O 0.074 0.382 0.861
O 0.926 0.618 0.139
O 0.620 0.620 0.892
P 0.220 0.220 0.454
Ni 0.686 0.314 0.250
O 0.926 0.618 0.639
P 0.220 0.220 0.954
O 0.074 0.382 0.361
Ni 0.314 0.686 0.250
O 0.620 0.620 0.392
O 0.000 0.000 0.000
O 0.382 0.074 0.361
O 0.618 0.926 0.139
O 0.382 0.074 0.861
Ni 0.686 0.314 0.750
O 0.380 0.380 0.108
O 0.000 0.000 0.500
P 0.780 0.780 0.546
O 0.380 0.380 0.608
```

Summary:
ΔH_f (0 K) in eV per atom: -2.22
Offset from the most stable computed form in meV per atom: 9

Entry 6:
NiP4O12 after structural relaxation, computed with PBE+U. Values from VASP.

Quantum ESPRESSO input file:
```
&SYSTEM
  ibrav = 0, nat = 34, ntyp = 3
/
ATOMIC_SPECIES
O 16.00 O.upf
P 30.97 P.upf
Ni 58.69 Ni.upf
CELL_PARAMETERS angstrom
6.684 4.771 0.000
-6.684 4.771 0.000
0.000 2.664 7.074
ATOMIC_POSITIONS crystal
O 0.148 0.084 0.318
O 0.656 0.108 0.684
P 0.952 0.789 0.679
O 0.611 0.836 0.345
O 0.402 0.689 0.929
P 0.271 0.602 0.116
O 0.871 0.128 0.245
O 0.367 0.591 0.283
O 0.128 0.871 0.745
O 0.591 0.367 0.783
P 0.209 0.046 0.810
O 0.732 0.996 0.001
O 0.388 0.163 0.644
O 0.084 0.148 0.818
P 0.046 0.209 0.310
O 0.852 0.915 0.669
P 0.789 0.952 0.179
P 0.736 0.393 0.900
P 0.602 0.271 0.616
O 0.915 0.852 0.169
P 0.393 0.736 0.400
O 0.004 0.267 0.487
O 0.893 0.347 0.797
O 0.836 0.611 0.845
Ni 0.870 0.128 0.744
O 0.996 0.732 0.501
Ni 0.128 0.870 0.244
O 0.689 0.402 0.429
O 0.347 0.893 0.297
O 0.108 0.656 0.184
O 0.163 0.388 0.144
O 0.649 0.319 0.104
O 0.267 0.004 0.987
O 0.319 0.649 0.604
```

Summary:
ΔH_f (0 K) in eV per atom: -2.13
Offset from the most stable computed form in meV per atom: 56
Total moment in μB/cell: 4.00